First-principles (r²SCAN) data for Zr6FeBi2 after structural relaxation, as listed in the Materials Project database.

Properties
crystal system: hexagonal
volume: 22.110 Å³/atom
energy relative to the elements: -0.31 eV per atom
size of the total moment: 0.00 μB per formula unit

abc: 3.648 7.936 7.936
angles: 120.00 90.00 90.00
Sites, in units of the cell vectors:
1 Zr 0.500 0.765 0.765
2 Zr 0.500 0.000 0.235
3 Zr 0.500 0.235 0.000
4 Zr 0.000 0.391 0.391
5 Zr 0.000 0.000 0.609
6 Zr 0.000 0.609 0.000
7 Fe 0.000 0.000 0.000
8 Bi 0.500 0.667 0.333
9 Bi 0.500 0.333 0.667